Below is crystalline Sr2SmSbO6 at its relaxed geometry, with properties calculated at the PBE level.

The structure in POSCAR format:
```
Sr2SmSbO6
1.0
-5.7725 -4.6541 4.0515
5.1431 -6.6943 -0.3623
3.4094 2.2185 7.4062
Sm Sr Sb O
4 8 4 24
direct
0.2500 0.7500 0.7500
0.7500 0.7500 0.2500
0.2500 0.2500 0.2500
0.7500 0.2500 0.7500
0.0000 0.5000 0.5000
0.5000 0.5000 0.0000
0.0000 0.0000 0.5000
0.0000 0.5000 0.0000
0.5000 0.0000 0.5000
0.5000 0.5000 0.5000
0.0000 0.0000 0.0000
0.5000 0.0000 0.0000
0.7500 0.7500 0.7500
0.2500 0.2500 0.7500
0.2500 0.7500 0.2500
0.7500 0.2500 0.2500
0.7827 0.2889 0.4830
0.2173 0.2889 0.5170
0.7827 0.7111 0.5170
0.0170 0.2827 0.7889
0.0170 0.7173 0.2111
0.2827 0.2111 0.9830
0.7111 0.5170 0.7827
0.2827 0.7889 0.0170
0.7889 0.9830 0.7173
0.4830 0.7827 0.2889
0.2111 0.0170 0.7173
0.5170 0.2173 0.2889
0.7173 0.7889 0.9830
0.7173 0.2111 0.0170
0.9830 0.7173 0.7889
0.9830 0.2827 0.2111
0.2173 0.7111 0.4830
0.7889 0.0170 0.2827
0.5170 0.7827 0.7111
0.4830 0.2173 0.7111
0.2889 0.4830 0.7827
0.7111 0.4830 0.2173
0.2889 0.5170 0.2173
0.2111 0.9830 0.2827
```

Total moment   0.0 μB per formula unit
V   15.08 Å³ per atom
Space-group type   Pn-3, No. 201
E_form   -3033.9 meV per atom
Final energy   -6.813 eV/atom

Below is crystalline Na2MgNb2O6 at its relaxed geometry, with properties calculated at the PBE level.

The structure in POSCAR format:
```
Na2MgNb2O6
1.0
1.5112 2.9071 4.1848
-2.6860 -0.4323 4.8042
2.4993 -3.4005 4.7041
O Nb Na Mg
6 2 2 1
direct
0.8285 0.4601 0.7121
0.4119 0.0539 0.7574
0.0276 0.8825 0.7272
0.1853 0.6052 0.2667
0.9874 0.1817 0.2550
0.6023 0.0142 0.2249
0.7918 0.8763 0.5228
0.2214 0.1892 0.4603
0.3715 0.4029 0.8785
0.6400 0.6635 0.1105
0.0072 0.0331 0.9911
```

Total moment   0.0 μB per formula unit
V   12.36 Å³ per atom
ΔE to the lowest computed polymorph   0 meV per atom
Space-group type   P1, No. 1
E_form   -2674.2 meV per atom
Final energy   -7.221 eV/atom

Below is crystalline Zn6B3HO11 at its relaxed geometry, with properties calculated at the PBE level.

The structure in POSCAR format:
```
Zn6B3HO11
1.0
-4.4886 -6.5197 -2.4866
6.0064 3.8320 -7.0480
8.1041 -0.8877 1.5404
O Zn B H
22 12 6 2
direct
0.2049 0.6148 0.7951
0.2498 0.7500 0.3952
0.6048 0.7500 0.1046
0.1999 0.3864 0.5907
0.7771 0.3864 0.8001
0.7498 0.2500 0.6046
0.5895 0.6154 0.7754
0.7993 0.3980 0.2007
0.2993 0.8980 0.7007
0.4093 0.3864 0.2229
0.3954 0.2500 0.8952
0.6999 0.8864 0.7229
0.3013 0.1154 0.2754
0.7246 0.1154 0.9105
0.1048 0.2500 0.2502
0.9093 0.8864 0.3001
0.2246 0.6154 0.1987
0.8013 0.6154 0.4105
0.2771 0.8864 0.0907
0.7049 0.1148 0.2951
0.8954 0.7500 0.7502
0.0895 0.1154 0.6987
0.1910 0.9144 0.4146
0.6910 0.4144 0.3620
0.6380 0.4144 0.9146
0.3561 0.5874 0.0737
0.3050 0.5874 0.6439
0.5854 0.9144 0.8620
0.1380 0.9144 0.8090
0.8050 0.0874 0.5737
0.4263 0.0874 0.1439
0.0854 0.4144 0.3090
0.9263 0.5874 0.6950
0.8561 0.0874 0.1950
0.7507 0.2504 0.7717
0.2507 0.7504 0.2286
0.2714 0.2504 0.2493
0.7283 0.7504 0.7493
0.7714 0.7504 0.2717
0.2283 0.2504 0.7286
0.7587 0.2760 0.2413
0.2587 0.7760 0.7413
```

Total moment   0.0 μB per formula unit
V   12.49 Å³ per atom
Space-group type   R3c, No. 161
E_form   -2155.8 meV per atom
Final energy   -5.863 eV/atom

Below is crystalline CeDyFe4 at its relaxed geometry, with properties calculated at the PBE level.

The structure in POSCAR format:
```
CeDyFe4
1.0
-2.5175 -3.1928 -3.1660
-5.1527 -0.0274 -0.0690
-2.5323 1.8794 -4.0757
Dy Fe Ce
1 4 1
direct
0.0000 0.0000 0.0000
0.1260 0.6247 0.6247
0.6247 0.6247 0.6247
0.6247 0.1260 0.6247
0.6247 0.6247 0.1260
0.2500 0.2500 0.2500
```

V   16.13 Å³ per atom
Space-group type   F-43m, No. 216
E_form   -65.1 meV per atom
Final energy   -7.468 eV/atom

Below is crystalline CsMg14Sb at its relaxed geometry, with properties calculated at the PBE level.

The structure in POSCAR format:
```
CsMg14Sb
1.0
-0.5186 -0.1592 -6.6356
-3.9604 -3.8909 3.8319
-7.2254 7.7279 0.3793
Mg Sb Cs
14 1 1
direct
0.8296 0.6648 0.3675
0.6709 0.8294 0.6250
0.6619 0.8410 0.1250
0.8296 0.6648 0.8825
0.1608 0.8304 0.6250
0.8182 0.1591 0.8562
0.3373 0.6801 0.3921
0.3373 0.1572 0.8579
0.1678 0.3339 0.6250
0.3373 0.1572 0.3921
0.3373 0.6801 0.8579
0.8182 0.1591 0.3938
0.6709 0.3414 0.6250
0.6619 0.3209 0.1250
0.1904 0.8452 0.1250
0.1705 0.3352 0.1250
```

Total moment   0.0 μB per formula unit
V   25.62 Å³ per atom
ΔE to the lowest computed polymorph   0 meV per atom
Space-group type   Amm2, No. 38
E_form   95.1 meV per atom
Final energy   -1.607 eV/atom

Below is crystalline Ba23U8O48 at its relaxed geometry, with properties calculated at the PBE level.

The structure in POSCAR format:
```
Ba23U8O48
1.0
-2.1046 -12.8314 1.2034
-12.1966 -4.6616 -0.1856
-4.1901 -6.9189 -10.2516
O Ba U
48 23 8
direct
0.3611 0.3611 0.6389
0.6377 0.6377 0.8623
0.8668 0.8668 0.1332
0.8623 0.6377 0.8623
0.1347 0.6407 0.8653
0.3623 0.1377 0.3623
0.1347 0.8653 0.3593
0.8653 0.1347 0.6407
0.6407 0.8653 0.1347
0.3611 0.6389 0.6389
0.8623 0.6377 0.6377
0.3593 0.8653 0.6407
0.6407 0.1347 0.8653
0.6389 0.6389 0.3611
0.3611 0.6389 0.3611
0.1332 0.8668 0.8668
0.6407 0.3593 0.8653
0.3593 0.6407 0.8653
0.6389 0.3611 0.6389
0.1347 0.8653 0.6407
0.8653 0.3593 0.1347
0.1332 0.1332 0.8668
0.1377 0.3623 0.1377
0.1347 0.6407 0.3593
0.8653 0.1347 0.3593
0.8653 0.6407 0.3593
0.6407 0.3593 0.1347
0.1332 0.8668 0.1332
0.3593 0.1347 0.8653
0.3593 0.1347 0.6407
0.8668 0.1332 0.8668
0.8623 0.8623 0.6377
0.6377 0.8623 0.8623
0.3593 0.8653 0.1347
0.6407 0.8653 0.3593
0.1377 0.1377 0.3623
0.8653 0.3593 0.6407
0.1347 0.3593 0.6407
0.3593 0.6407 0.1347
0.3623 0.1377 0.1377
0.8653 0.6407 0.1347
0.1347 0.3593 0.8653
0.8668 0.1332 0.1332
0.6389 0.3611 0.3611
0.3623 0.3623 0.1377
0.6407 0.1347 0.3593
0.6377 0.8623 0.6377
0.1377 0.3623 0.3623
0.6324 0.6324 0.1028
0.5000 0.0000 0.0000
0.5000 0.5000 0.0000
0.6324 0.1028 0.6324
0.1063 0.1063 0.6812
0.0000 0.0000 0.5000
0.6812 0.1063 0.1063
0.8937 0.8937 0.8937
0.5000 0.5000 0.5000
0.3676 0.3676 0.3676
0.8937 0.3188 0.8937
0.8972 0.3676 0.3676
0.1028 0.6324 0.6324
0.1063 0.6812 0.1063
0.0000 0.5000 0.0000
0.0000 0.5000 0.5000
0.3676 0.8972 0.3676
0.5000 0.0000 0.5000
0.6324 0.6324 0.6324
0.3188 0.8937 0.8937
0.1063 0.1063 0.1063
0.3676 0.3676 0.8972
0.8937 0.8937 0.3188
0.7497 0.2503 0.2503
0.2503 0.7497 0.2503
0.2503 0.2503 0.7497
0.7500 0.7500 0.7500
0.2500 0.2500 0.2500
0.7497 0.2503 0.7497
0.7497 0.7497 0.2503
0.2503 0.7497 0.7497
```

Total moment   0.6 μB per formula unit
V   19.93 Å³ per atom
Space-group type   Fm-3m, No. 225
E_form   -3281.9 meV per atom
Final energy   -7.573 eV/atom

Below is crystalline Eu2TlSn at its relaxed geometry, with properties calculated at the PBE level.

The structure in POSCAR format:
```
Eu2TlSn
1.0
-0.5317 -1.8767 5.2755
-4.8874 0.5983 2.7185
-3.1906 -4.5058 1.0739
Sn Tl Eu
1 1 2
direct
0.5000 0.5000 0.5000
0.0000 0.0000 0.0000
0.7500 0.7500 0.7500
0.2500 0.2500 0.2500
```

V   31.45 Å³ per atom
Space-group type   Fm-3m, No. 225
E_form   -560.6 meV per atom
Final energy   -7.282 eV/atom

Below is crystalline Zn4TeO3 at its relaxed geometry, with properties calculated at the PBE level.

The structure in POSCAR format:
```
Zn4TeO3
1.0
-2.3836 -2.3836 0.0000
-2.5769 2.5769 -5.1796
2.5769 -2.5769 -5.1796
O Te Zn
3 1 4
direct
0.5000 0.8744 0.8744
0.0000 0.3726 0.8747
0.0000 0.8747 0.3726
0.5000 0.3643 0.3643
0.0000 0.5526 0.5526
0.5000 0.5285 0.9379
0.5000 0.9379 0.5285
0.0000 0.9950 0.9950
```

Total moment   0.0 μB per formula unit
V   15.91 Å³ per atom
Space-group type   Amm2, No. 38
E_form   -1177.7 meV per atom
Final energy   -3.798 eV/atom